# 1
NaO | PBE | optimized geometry

Values from the calculation:
The density comes out at 2.58 g/cm³. The value obtained for the formation energy is -1.0528 eV per atom. The value obtained for the total energy is -3.84 eV/atom.

Unit cell a=4.483 b=3.853 c=2.970 alpha=90.00 beta=101.49 gamma=90.00
Positions (direct):
Na (0.000, 0.000, 0.000)
Na (0.500, 0.500, 0.000)
O (0.000, 0.500, 0.500)
O (0.500, 0.000, 0.500)

# 2
CuSb2O6 | PBE | optimized geometry

Values from the calculation:
For the energy above the lowest structure with this stoichiometry, the calculation gives 0.3 kJ per mole of atoms. The density comes out at 6.40 g/cm³. The value obtained for the formation energy is -1.6368 eV per atom. The value obtained for the total energy is -5.85 eV/atom.

Unit cell a=4.746 b=4.697 c=10.442 alpha=90.00 beta=116.05 gamma=90.00
Positions (direct):
Cu (0.000, 0.000, 0.000)
Cu (0.000, 0.500, 0.500)
Sb (0.332, 0.009, 0.332)
Sb (0.332, 0.491, 0.832)
Sb (0.668, 0.509, 0.168)
Sb (0.668, 0.991, 0.668)
O (0.016, 0.195, 0.831)
O (0.016, 0.305, 0.331)
O (0.317, 0.700, 0.998)
O (0.317, 0.800, 0.498)
O (0.357, 0.224, 0.174)
O (0.357, 0.276, 0.674)
O (0.643, 0.724, 0.326)
O (0.643, 0.776, 0.826)
O (0.683, 0.200, 0.502)
O (0.683, 0.300, 0.002)
O (0.984, 0.695, 0.669)
O (0.984, 0.805, 0.169)

# 3
Sr2YCu3Pb2O8 | PBE | optimized geometry

Values from the calculation:
For the energy above the lowest structure with this stoichiometry, the calculation gives 0.3 kJ per mole of atoms. The density comes out at 7.00 g/cm³. The value obtained for the formation energy is -2.0617 eV per atom. The value obtained for the total energy is -6.04 eV/atom.

Unit cell a=3.863 b=3.834 c=15.971 alpha=90.00 beta=91.33 gamma=90.00
Positions (direct):
Sr (0.010, 0.000, 0.221)
Sr (0.990, 0.000, 0.779)
Y (0.000, 0.000, 0.000)
Cu (0.000, 0.000, 0.500)
Cu (0.498, 0.500, 0.896)
Cu (0.502, 0.500, 0.104)
Pb (0.496, 0.500, 0.611)
Pb (0.504, 0.500, 0.389)
O (0.000, 0.500, 0.092)
O (0.000, 0.500, 0.908)
O (0.100, 0.000, 0.386)
O (0.488, 0.500, 0.749)
O (0.497, 0.000, 0.908)
O (0.503, 0.000, 0.092)
O (0.512, 0.500, 0.251)
O (0.900, 0.000, 0.614)

# 4
CaMg14Fe | PBE | optimized geometry

Values from the calculation:
For the energy above the lowest structure with this stoichiometry, the calculation gives 4.5 kJ per mole of atoms. The density comes out at 2.03 g/cm³. The value obtained for the formation energy is 0.1380 eV per atom. The value obtained for the total energy is -1.92 eV/atom.

Unit cell a=6.394 b=6.394 c=10.097 alpha=90.00 beta=90.00 gamma=120.00
Positions (direct):
Ca (0.000, 0.000, 0.000)
Mg (0.010, 0.505, 0.000)
Mg (0.162, 0.323, 0.271)
Mg (0.162, 0.323, 0.729)
Mg (0.162, 0.838, 0.271)
Mg (0.162, 0.838, 0.729)
Mg (0.495, 0.505, 0.000)
Mg (0.495, 0.990, 0.000)
Mg (0.503, 0.007, 0.500)
Mg (0.503, 0.497, 0.500)
Mg (0.667, 0.333, 0.241)
Mg (0.667, 0.333, 0.759)
Mg (0.677, 0.838, 0.271)
Mg (0.677, 0.838, 0.729)
Mg (0.993, 0.497, 0.500)
Fe (0.000, 0.000, 0.500)

# 5
Hf3Al2 | PBE | optimized geometry

Values from the calculation:
The density comes out at 9.89 g/cm³. The value obtained for the formation energy is -0.3306 eV per atom. The value obtained for the total energy is -7.80 eV/atom.

Unit cell a=7.588 b=7.588 c=6.876 alpha=90.00 beta=90.00 gamma=90.00
Positions (direct):
Hf (0.000, 0.500, 0.250)
Hf (0.000, 0.500, 0.750)
Hf (0.155, 0.155, 0.000)
Hf (0.202, 0.202, 0.500)
Hf (0.298, 0.702, 0.000)
Hf (0.345, 0.655, 0.500)
Hf (0.500, 0.000, 0.250)
Hf (0.500, 0.000, 0.750)
Hf (0.655, 0.345, 0.500)
Hf (0.702, 0.298, 0.000)
Hf (0.798, 0.798, 0.500)
Hf (0.845, 0.845, 0.000)
Al (0.121, 0.879, 0.290)
Al (0.121, 0.879, 0.710)
Al (0.379, 0.379, 0.210)
Al (0.379, 0.379, 0.790)
Al (0.621, 0.621, 0.210)
Al (0.621, 0.621, 0.790)
Al (0.879, 0.121, 0.290)
Al (0.879, 0.121, 0.710)

# 6
Ca2UO17 | PBE | optimized geometry

Values from the calculation:
The density comes out at 2.86 g/cm³. The value obtained for the formation energy is -1.0981 eV per atom. The value obtained for the total energy is -5.93 eV/atom.

Unit cell a=9.117 b=11.559 c=13.004 alpha=90.00 beta=90.00 gamma=90.00
Positions (direct):
Ca (0.181, 0.031, 0.032)
Ca (0.181, 0.969, 0.532)
Ca (0.319, 0.469, 0.532)
Ca (0.319, 0.531, 0.032)
Ca (0.681, 0.469, 0.968)
Ca (0.681, 0.531, 0.468)
Ca (0.819, 0.031, 0.468)
Ca (0.819, 0.969, 0.968)
U (0.000, 0.124, 0.250)
U (0.000, 0.876, 0.750)
U (0.500, 0.376, 0.750)
U (0.500, 0.624, 0.250)
O (0.000, 0.214, 0.750)
O (0.000, 0.786, 0.250)
O (0.024, 0.325, 0.298)
O (0.024, 0.675, 0.798)
O (0.027, 0.415, 0.597)
O (0.027, 0.585, 0.097)
O (0.036, 0.016, 0.876)
O (0.036, 0.984, 0.376)
O (0.055, 0.101, 0.424)
O (0.055, 0.899, 0.924)
O (0.096, 0.462, 0.901)
O (0.096, 0.538, 0.401)
O (0.192, 0.120, 0.201)
O (0.192, 0.880, 0.701)
O (0.212, 0.246, 0.992)
O (0.212, 0.754, 0.492)
O (0.226, 0.321, 0.062)
O (0.226, 0.679, 0.562)
O (0.274, 0.179, 0.562)
O (0.274, 0.821, 0.062)
O (0.288, 0.254, 0.492)
O (0.288, 0.746, 0.992)
O (0.308, 0.380, 0.701)
O (0.308, 0.620, 0.201)
O (0.404, 0.038, 0.401)
O (0.404, 0.962, 0.901)
O (0.445, 0.399, 0.924)
O (0.445, 0.601, 0.424)
O (0.464, 0.484, 0.376)
O (0.464, 0.516, 0.876)
O (0.473, 0.085, 0.097)
O (0.473, 0.915, 0.597)
O (0.476, 0.175, 0.798)
O (0.476, 0.825, 0.298)
O (0.500, 0.286, 0.250)
O (0.500, 0.714, 0.750)
O (0.524, 0.175, 0.702)
O (0.524, 0.825, 0.202)
O (0.527, 0.085, 0.403)
O (0.527, 0.915, 0.903)
O (0.536, 0.484, 0.124)
O (0.536, 0.516, 0.624)
O (0.555, 0.399, 0.576)
O (0.555, 0.601, 0.076)
O (0.596, 0.038, 0.099)
O (0.596, 0.962, 0.599)
O (0.692, 0.380, 0.799)
O (0.692, 0.620, 0.299)
O (0.712, 0.254, 0.008)
O (0.712, 0.746, 0.508)
O (0.726, 0.179, 0.938)
O (0.726, 0.821, 0.438)
O (0.774, 0.321, 0.438)
O (0.774, 0.679, 0.938)
O (0.788, 0.246, 0.508)
O (0.788, 0.754, 0.008)
O (0.808, 0.120, 0.299)
O (0.808, 0.880, 0.799)
O (0.904, 0.462, 0.599)
O (0.904, 0.538, 0.099)
O (0.945, 0.101, 0.076)
O (0.945, 0.899, 0.576)
O (0.964, 0.016, 0.624)
O (0.964, 0.984, 0.124)
O (0.973, 0.415, 0.903)
O (0.973, 0.585, 0.403)
O (0.976, 0.325, 0.202)
O (0.976, 0.675, 0.702)

# 7
Pr2Y2O5 | PBE | optimized geometry

Values from the calculation:
The density comes out at 5.43 g/cm³. The value obtained for the formation energy is -3.1041 eV per atom. The value obtained for the total energy is -7.97 eV/atom.

Unit cell a=3.922 b=3.922 c=10.737 alpha=90.00 beta=90.00 gamma=90.00
Positions (direct):
Pr (0.000, 0.000, 0.233)
Pr (0.000, 0.000, 0.767)
Y (0.500, 0.500, 0.000)
Y (0.500, 0.500, 0.500)
O (0.000, 0.000, 0.500)
O (0.000, 0.500, 0.129)
O (0.000, 0.500, 0.871)
O (0.500, 0.000, 0.129)
O (0.500, 0.000, 0.871)

# 8
Na4Nb3InSi5SO24 | PBE | optimized geometry

Values from the calculation:
The density comes out at 3.20 g/cm³. The value obtained for the formation energy is -2.7872 eV per atom. The value obtained for the total energy is -7.31 eV/atom.

Unit cell a=9.023 b=9.039 c=22.912 alpha=90.27 beta=90.08 gamma=119.88
Positions (direct):
Na (0.000, 0.000, 0.000)
Na (0.001, 0.985, 0.501)
Na (0.308, 0.330, 0.412)
Na (0.325, 0.660, 0.329)
Na (0.326, 0.652, 0.833)
Na (0.372, 0.358, 0.749)
Na (0.633, 0.998, 0.747)
Na (0.656, 0.964, 0.413)
Na (0.660, 0.307, 0.166)
Na (0.665, 0.325, 0.662)
Na (0.968, 0.665, 0.079)
Na (0.990, 0.616, 0.749)
Nb (0.007, 0.989, 0.851)
Nb (0.319, 0.646, 0.978)
Nb (0.327, 0.659, 0.478)
Nb (0.331, 0.657, 0.681)
Nb (0.343, 0.670, 0.180)
Nb (0.657, 0.332, 0.019)
Nb (0.663, 0.324, 0.518)
Nb (0.984, 0.984, 0.353)
Nb (0.997, 0.993, 0.640)
In (0.664, 0.317, 0.314)
In (0.668, 0.334, 0.812)
In (0.993, 0.001, 0.140)
Si (0.038, 0.657, 0.580)
Si (0.039, 0.367, 0.081)
Si (0.287, 0.990, 0.745)
Si (0.331, 0.367, 0.579)
Si (0.335, 0.951, 0.078)
Si (0.371, 0.031, 0.413)
Si (0.371, 0.327, 0.911)
Si (0.619, 0.661, 0.077)
Si (0.621, 0.950, 0.579)
Si (0.662, 0.609, 0.413)
Si (0.702, 0.995, 0.245)
Si (0.711, 0.707, 0.745)
Si (0.956, 0.332, 0.413)
Si (0.956, 0.617, 0.913)
Si (0.998, 0.278, 0.747)
S (0.288, 0.284, 0.247)
S (0.663, 0.031, 0.913)
S (0.999, 0.701, 0.246)
O (0.022, 0.813, 0.298)
O (0.023, 0.829, 0.587)
O (0.029, 0.186, 0.079)
O (0.033, 0.187, 0.803)
O (0.133, 0.631, 0.638)
O (0.134, 0.499, 0.137)
O (0.150, 0.649, 0.923)
O (0.154, 0.485, 0.423)
O (0.157, 0.687, 0.243)
O (0.159, 0.469, 0.024)
O (0.161, 0.180, 0.587)
O (0.161, 0.955, 0.086)
O (0.161, 0.955, 0.802)
O (0.163, 0.684, 0.524)
O (0.172, 0.468, 0.739)
O (0.179, 0.154, 0.907)
O (0.182, 0.199, 0.300)
O (0.183, 0.020, 0.404)
O (0.190, 0.020, 0.690)
O (0.211, 0.179, 0.194)
O (0.296, 0.454, 0.242)
O (0.298, 0.814, 0.739)
O (0.306, 0.460, 0.522)
O (0.306, 0.824, 0.023)
O (0.350, 0.495, 0.922)
O (0.350, 0.842, 0.424)
O (0.358, 0.488, 0.637)
O (0.367, 0.857, 0.136)
O (0.462, 0.161, 0.469)
O (0.462, 0.310, 0.252)
O (0.471, 0.298, 0.968)
O (0.473, 0.358, 0.851)
O (0.475, 0.155, 0.750)
O (0.490, 0.097, 0.357)
O (0.497, 0.628, 0.136)
O (0.500, 0.855, 0.637)
O (0.502, 0.645, 0.423)
O (0.503, 0.352, 0.573)
O (0.509, 0.136, 0.070)
O (0.511, 0.812, 0.241)
O (0.511, 0.859, 0.921)
O (0.520, 0.682, 0.022)
O (0.521, 0.692, 0.739)
O (0.530, 0.830, 0.522)
O (0.613, 0.494, 0.355)
O (0.632, 0.484, 0.072)
O (0.634, 0.099, 0.858)
O (0.637, 0.136, 0.572)
O (0.675, 0.158, 0.249)
O (0.688, 0.143, 0.964)
O (0.690, 0.519, 0.746)
O (0.695, 0.520, 0.470)
O (0.801, 0.833, 0.802)
O (0.802, 0.967, 0.304)
O (0.808, 0.966, 0.587)
O (0.813, 0.812, 0.081)
O (0.818, 0.015, 0.190)
O (0.821, 0.017, 0.909)
O (0.826, 0.284, 0.469)
O (0.828, 0.295, 0.749)
O (0.833, 0.519, 0.970)
O (0.833, 0.805, 0.405)
O (0.834, 0.804, 0.690)
O (0.845, 0.532, 0.252)
O (0.853, 0.486, 0.572)
O (0.856, 0.363, 0.071)
O (0.890, 0.371, 0.354)
O (0.893, 0.511, 0.852)
O (0.970, 0.807, 0.907)
O (0.972, 0.157, 0.690)
O (0.978, 0.156, 0.404)
O (0.980, 0.779, 0.192)